(1)
A relaxed structure of Na4CaTi3P6O24. Source: the Materials Project, functional PBE-GGA.

Summary:
**E_form**: -2.945 eV/atom
**Spin magnetization**: 0.00 Bohr magnetons per cell

The structure in extended XYZ format:
```
114
Lattice="8.854 0.015 0.004 -4.414 7.673 -0.005 0.009 -0.010 22.334" Properties=species:S:1:pos:R:3 pbc="T T T"
O 0.586 1.519 15.541
O -0.619 6.673 19.175
O 3.665 5.983 6.916
O 4.909 1.082 9.486
O 0.814 1.329 18.054
O 6.039 2.377 11.898
O 2.710 2.273 16.809
O 3.471 3.831 20.638
O -3.460 6.186 9.390
O 1.541 0.173 13.137
O -2.763 7.447 4.313
O 5.392 1.256 0.698
O 2.825 7.448 15.512
O -1.569 5.091 10.547
O 1.807 0.209 6.799
O -1.532 5.447 16.904
O 3.825 1.076 20.642
O 7.945 1.252 13.122
O 0.813 3.762 1.473
O 0.831 3.791 10.556
O 5.071 6.290 1.907
O 1.053 6.305 16.919
O 5.087 4.052 0.697
O -0.985 6.280 5.670
O -0.612 1.541 4.323
O 0.894 1.255 1.907
O 5.206 6.291 18.060
O 2.345 2.887 3.172
O 2.913 2.912 9.447
O 0.502 3.588 16.938
O 3.465 1.271 11.898
O -0.633 3.605 21.639
O -0.778 6.516 12.732
O 3.185 4.076 14.244
O 0.622 6.680 8.027
O 3.822 6.266 13.123
O 5.475 3.699 9.455
O 7.292 0.042 18.043
O 0.729 1.602 9.432
O 5.189 4.128 16.819
O 1.517 5.397 5.691
O -0.954 6.432 21.643
O -0.804 3.727 12.740
O -1.658 4.897 8.037
O 1.606 5.152 12.714
O 5.756 4.215 3.169
O 6.098 2.564 5.396
O 2.682 7.434 9.369
O 6.028 2.774 20.643
O -1.572 5.094 1.469
O -1.016 3.771 19.172
O 3.783 4.141 11.752
O 3.593 1.120 5.398
O -2.782 7.499 20.313
O 0.775 6.504 1.474
O -0.503 3.662 5.689
O -3.412 6.374 15.537
O 5.485 1.151 16.783
O 7.758 1.457 6.802
O 2.824 2.387 0.699
O 5.188 0.602 3.171
O 1.672 5.309 21.680
O 0.760 6.474 10.533
O 3.445 6.399 4.404
O 7.327 0.149 1.915
O 1.032 3.804 8.055
O 6.426 2.856 14.380
O 1.650 4.898 19.232
O -0.655 1.482 20.314
O 3.486 6.356 20.315
O 3.629 4.028 5.428
O 3.704 0.685 14.377
Na 0.014 5.118 3.580
Na 0.062 0.099 11.158
Na 4.373 2.657 18.674
Na 3.318 5.186 9.297
Na 7.156 2.827 16.664
Na 5.679 0.093 5.500
Na 4.480 2.470 7.476
Na 1.684 2.728 5.503
Na 3.326 0.036 16.661
Na 0.150 5.100 14.795
Na 5.960 4.877 5.493
Na 0.000 0.004 0.005
P -1.292 2.893 20.456
P -1.803 7.628 5.559
P 3.098 0.251 13.056
P 1.166 7.363 9.369
P 5.774 0.214 1.821
P -1.239 7.354 20.458
P 1.356 2.965 9.389
P 5.791 4.912 1.815
P -3.106 5.527 16.815
P 1.962 7.572 16.803
P 1.192 2.184 16.812
P 2.598 5.096 20.489
P -1.258 2.278 5.568
P -2.527 4.986 9.376
P 3.104 4.875 12.974
P 3.094 5.452 5.620
P 7.106 2.565 13.058
P 1.729 2.570 1.816
Ti 0.072 5.105 18.239
Ti 0.004 5.120 0.349
Ti 4.465 2.513 10.844
Ti 4.452 2.549 21.981
Ti -0.010 5.120 7.075
Ti 4.450 7.673 19.136
Ti 0.012 0.010 3.234
Ti -0.007 5.117 11.621
Ti 4.422 7.645 14.371
Ca 4.432 2.574 3.812
Ca 4.384 2.628 15.261
Ca 0.037 0.068 8.011
```

(2)
A relaxed structure of SnP4Cl24. Source: the Materials Project, functional PBE-GGA.

Summary:
**E_form**: -1.154 eV/atom
**Spin magnetization**: 0.01 Bohr magnetons per cell

The structure in extended XYZ format:
```
116
Lattice="-10.321 6.936 -7.495 0.277 -10.895 -10.464 -10.678 -7.620 7.652" Properties=species:S:1:pos:R:3 pbc="T T T"
Cl -12.894 -8.648 -4.311
Cl -13.851 -7.811 -11.401
Cl -11.296 -5.595 -13.569
Cl -9.009 -6.542 6.352
Cl -1.983 -0.279 -2.409
Cl -13.788 0.400 -3.936
Cl -9.501 -11.281 -2.118
Cl -11.283 -3.056 -10.661
Cl -4.665 -1.202 -3.881
Cl -18.930 -11.154 -7.548
Cl -3.883 -8.005 -2.061
Cl -3.754 -11.419 -5.398
Cl -7.240 -6.215 -5.051
Cl -13.229 -11.975 -6.929
Cl -6.843 -5.308 4.510
Cl -1.608 -9.573 -6.645
Cl -12.763 -12.672 -3.423
Cl -16.185 -4.926 -1.193
Cl -8.240 1.201 -6.477
Cl -11.057 -0.181 -8.307
Cl -10.626 -9.015 -12.539
Cl -16.281 -10.308 -5.978
Cl -16.328 -6.693 -7.075
Cl -4.963 -6.462 -13.209
Cl -10.719 -6.124 -9.828
Cl -15.497 -5.464 2.220
Cl -4.231 -4.769 -3.349
Cl -16.689 -4.233 -4.306
Cl -7.057 -6.527 -1.128
Cl -4.830 -3.883 -6.827
Cl -10.489 -4.984 -4.233
Cl -13.490 -4.712 -9.064
Cl -4.172 -1.929 -0.810
Cl -5.469 -0.943 -7.405
Cl -18.897 -5.819 -2.642
Cl -8.433 -1.318 -12.929
Cl -12.741 -4.450 4.126
Cl -1.638 -5.884 -7.995
Cl -7.129 -11.365 -10.000
Cl -9.590 -6.101 3.379
Cl -9.253 -8.955 4.453
Cl -10.993 2.655 -5.763
Cl -12.620 -7.322 1.396
Cl -8.780 -14.662 -1.479
Cl -9.856 -13.168 -7.944
Cl -10.759 -3.850 -7.606
Cl -12.644 -6.214 -2.403
Cl -13.330 -2.603 -2.954
Cl -13.852 -1.961 -6.062
Cl -9.780 -4.988 -0.376
Cl -13.089 -3.410 0.805
Cl -7.896 -1.822 -9.054
Cl -6.727 -9.257 -4.153
Cl -12.134 -10.365 2.269
Cl -6.726 -10.260 -0.233
Cl -7.849 -4.383 -12.148
Cl -6.321 -12.510 -2.873
Cl -3.399 -13.406 -7.726
Cl -1.383 -6.619 -4.222
Cl -9.854 -10.904 -5.714
Cl -7.560 -3.496 -2.095
Cl -7.154 -8.520 -7.240
Cl -7.607 -2.773 -6.155
Cl -16.108 -7.238 -3.375
Cl -10.528 -1.384 -0.847
Cl -13.330 -10.833 -10.467
Cl -12.157 -15.706 -2.629
Cl -7.112 -12.340 -6.508
Cl -4.299 -6.768 -9.571
Cl -9.859 -8.823 0.654
Cl -10.164 -7.858 -3.160
Cl -10.740 -7.415 -6.136
Cl -13.429 -8.501 -8.310
Cl -4.043 -10.469 -8.302
Cl -13.231 -5.797 -5.387
Cl -1.248 -11.558 -8.978
Cl -9.959 -9.493 -9.135
Cl -16.842 -1.226 -1.888
Cl -11.078 -1.132 -4.650
Cl -16.124 -9.345 -9.803
Cl -8.257 3.451 -4.234
Cl -5.105 -2.935 -9.750
Cl -3.583 -5.253 0.073
Cl -7.090 -7.727 2.613
Cl -4.453 -7.646 -5.700
Cl -4.783 1.116 -1.711
Cl -1.104 -3.882 -2.072
Cl -8.721 4.250 -7.303
Cl -7.245 -4.771 -8.502
Cl -7.535 -8.098 -11.183
Cl -8.096 -0.035 -2.947
Cl -7.015 -4.152 0.983
Cl -9.207 -12.429 1.176
Cl -16.237 -2.100 1.587
Cl -12.590 -9.603 -0.820
Cl -9.303 -13.930 -4.850
P -11.792 -9.026 0.875
P -18.209 -10.591 -5.819
P -11.561 -4.430 -9.297
P -13.008 -1.330 -4.410
P -7.850 -4.796 -0.664
P -14.190 -9.145 -9.999
P -9.060 2.893 -5.922
P -3.914 -0.566 -2.185
P -6.357 -2.853 -7.950
P -6.384 -7.909 -5.538
P -13.051 -14.058 -2.074
P -11.693 -6.819 -4.273
P -8.051 -7.137 4.481
P -16.969 -5.547 -2.885
P -2.504 -11.488 -7.183
P -9.044 -12.604 -6.261
Sn -2.492 -5.946 -2.071
Sn -7.763 -12.464 -0.846
Sn -14.498 -3.274 2.870
Sn -8.886 -10.204 -11.271
```

(3)
A relaxed structure of VCu3HgSe4. Source: the Materials Project, functional PBE-GGA.

Summary:
**E_form**: -0.480 eV/atom
**Spin magnetization**: 0.01 Bohr magnetons per cell

The structure in extended XYZ format:
```
9
Lattice="5.943 0.000 0.000 0.000 5.943 0.000 0.000 0.000 5.943" Properties=species:S:1:pos:R:3 pbc="T T T"
Se 1.348 1.348 1.348
Se 1.348 4.595 4.595
Se 4.595 1.348 4.595
Se 4.595 4.595 1.348
Cu 2.972 0.000 0.000
Cu 0.000 2.972 0.000
Cu 0.000 0.000 2.972
V 0.000 0.000 0.000
Hg 2.972 2.972 2.972
```

(4)
A relaxed structure of As3W. Source: the Materials Project, functional PBE-GGA.

Summary:
**E_form**: 0.614 eV/atom
**Spin magnetization**: 0.01 Bohr magnetons per cell

The structure in extended XYZ format:
```
4
Lattice="0.192 -4.429 1.112 -3.682 -2.084 1.728 -2.264 -3.084 -2.500" Properties=species:S:1:pos:R:3 pbc="T T T"
As -2.877 -4.798 0.170
As -1.439 -2.399 0.085
As -4.316 -7.198 0.254
W 0.000 0.000 0.000
```